[1]
This record from the Materials Project describes an optimized crystal structure of Be3N2. The functional is r2SCAN.

Output
- Relative energy among the computed polymorphs: 32 meV per atom
- Formation energy: -1.22 eV per atom
- M_tot: 0.0 μB per cell
- Energy: -74.718 eV/cell

The structure in CIF format:
```
data_Be3N2
_cell_length_a 2.8417
_cell_length_b 2.8417
_cell_length_c 9.7468
_cell_angle_alpha 90.00
_cell_angle_beta 90.00
_cell_angle_gamma 120.00
_space_group_name_H-M_alt 'P 63/m m c'
_space_group_IT_number 194
_space_group_name_Hall '-P 6c 2c'
loop_
_atom_site_label
_atom_site_fract_x
_atom_site_fract_y
_atom_site_fract_z
_atom_site_occupancy
Be1 0.0000 0.0000 0.2500 1
Be2 0.3333 0.6667 0.0785 1
N1 0.0000 0.0000 0.0000 1
N2 0.3333 0.6667 0.2500 1
```

***

[2]
This record from the Materials Project describes an optimized crystal structure of PaBr3O. The functional is r2SCAN.

Output
- Formation energy: -2.32 eV per atom
- M_tot: 0.0 μB per cell
- Energy: -536.736 eV/cell

The structure in CIF format:
```
data_PaBr3O
_cell_length_a 17.7055
_cell_length_b 4.0139
_cell_length_c 9.8881
_cell_angle_alpha 90.00
_cell_angle_beta 117.70
_cell_angle_gamma 90.00
_space_group_name_H-M_alt 'C 1 2/m 1'
_space_group_IT_number 12
loop_
_space_group_symop_operation_xyz
'x,y,z'
'-x,-y,-z'
'-x,y,-z'
'x,-y,z'
'x+1/2,y+1/2,z'
'-x+1/2,-y+1/2,-z'
'-x+1/2,y+1/2,-z'
'x+1/2,-y+1/2,z'
loop_
_atom_site_label
_atom_site_fract_x
_atom_site_fract_y
_atom_site_fract_z
_atom_site_occupancy
Pa1 0.1946 0.0000 0.3184 1
Br1 0.0462 0.0000 0.3263 1
Br2 0.1229 0.5000 0.0718 1
Br3 0.1656 0.5000 0.7177 1
O1 0.2230 0.5000 0.4184 1
```

***

[3]
This record from the Materials Project describes an optimized crystal structure of Ba3SnO. The functional is r2SCAN.

Output
- Formation energy: -1.54 eV per atom
- M_tot: 0.0 μB per cell
- Energy: -117.932 eV/cell

The structure in CIF format:
```
data_Ba3SnO
_cell_length_a 5.5021
_cell_length_b 5.5021
_cell_length_c 5.5021
_cell_angle_alpha 90.00
_cell_angle_beta 90.00
_cell_angle_gamma 90.00
_space_group_name_H-M_alt 'P m -3 m'
_space_group_IT_number 221
_space_group_name_Hall '-P 4 2 3'
loop_
_atom_site_label
_atom_site_fract_x
_atom_site_fract_y
_atom_site_fract_z
_atom_site_occupancy
Ba1 0.0000 0.0000 0.5000 1
Sn1 0.5000 0.5000 0.5000 1
O1 0.0000 0.0000 0.0000 1
```

***

[4]
This record from the Materials Project describes an optimized crystal structure of Zr2Si4Ru3. The functional is r2SCAN.

Output
- Formation energy: -0.92 eV per atom
- M_tot: 0.0 μB per cell
- Energy: -1321.048 eV/cell

The structure in CIF format:
```
data_Zr2Si4Ru3
_cell_length_a 18.9769
_cell_length_b 5.3532
_cell_length_c 13.3104
_cell_angle_alpha 90.00
_cell_angle_beta 127.75
_cell_angle_gamma 90.00
_space_group_name_H-M_alt 'C 1 2/c 1'
_space_group_IT_number 15
loop_
_space_group_symop_operation_xyz
'x,y,z'
'-x,-y,-z'
'-x,y,-z+1/2'
'x,-y,z+1/2'
'x+1/2,y+1/2,z'
'-x+1/2,-y+1/2,-z'
'-x+1/2,y+1/2,-z+1/2'
'x+1/2,-y+1/2,z+1/2'
loop_
_atom_site_label
_atom_site_fract_x
_atom_site_fract_y
_atom_site_fract_z
_atom_site_occupancy
Zr1 0.0736 0.1268 0.1485 1
Zr2 0.1665 0.3734 0.8627 1
Si1 0.0000 0.1202 0.7500 1
Si2 0.0000 0.3700 0.2500 1
Si3 0.1131 0.3600 0.6051 1
Si4 0.1702 0.2445 0.0651 1
Si5 0.2355 0.1233 0.3960 1
Ru1 0.0213 0.3904 0.9150 1
Ru2 0.1238 0.1398 0.4343 1
Ru3 0.2378 0.0897 0.7204 1
```

***

[5]
This record from the Materials Project describes an optimized crystal structure of LaB4. The functional is r2SCAN.

Output
- Formation energy: -0.63 eV per atom
- M_tot: 0.0 μB per cell
- Energy: -249.070 eV/cell

The structure in CIF format:
```
data_LaB4
_cell_length_a 7.3197
_cell_length_b 7.3197
_cell_length_c 4.1876
_cell_angle_alpha 90.00
_cell_angle_beta 90.00
_cell_angle_gamma 90.00
_space_group_name_H-M_alt 'P 4/m b m'
_space_group_IT_number 127
_space_group_name_Hall '-P 4 2ab'
loop_
_atom_site_label
_atom_site_fract_x
_atom_site_fract_y
_atom_site_fract_z
_atom_site_occupancy
La1 0.1838 0.3162 0.0000 1
B1 0.0000 0.0000 0.2064 1
B2 0.0388 0.8271 0.5000 1
B3 0.0888 0.5888 0.5000 1
```

***

[6]
This record from the Materials Project describes an optimized crystal structure of Ag2Hg. The functional is r2SCAN.

Output
- Formation energy: 0.05 eV per atom
- M_tot: 0.0 μB per cell
- Energy: -91.916 eV/cell

The structure in CIF format:
```
data_Ag2Hg
_cell_length_a 3.0567
_cell_length_b 3.0567
_cell_length_c 7.0954
_cell_angle_alpha 90.00
_cell_angle_beta 90.00
_cell_angle_gamma 120.00
_space_group_name_H-M_alt 'P -3 m 1'
_space_group_IT_number 164
_space_group_name_Hall '-P 3 2"'
loop_
_atom_site_label
_atom_site_fract_x
_atom_site_fract_y
_atom_site_fract_z
_atom_site_occupancy
Ag1 0.3333 0.6667 0.1578 1
Hg1 0.0000 0.0000 0.5000 1
```

***

[7]
This record from the Materials Project describes an optimized crystal structure of Te16Mo9Ru3. The functional is r2SCAN.

Output
- Formation energy: -0.33 eV per atom
- M_tot: 0.0 μB per cell
- Energy: -726.945 eV/cell

The structure in CIF format:
```
data_Te16Mo9Ru3
_cell_length_a 7.1056
_cell_length_b 9.8218
_cell_length_c 10.4590
_cell_angle_alpha 90.61
_cell_angle_beta 91.48
_cell_angle_gamma 94.76
_space_group_name_H-M_alt 'P 1'
_space_group_IT_number 1
loop_
_space_group_symop_operation_xyz
'x,y,z'
loop_
_atom_site_label
_atom_site_fract_x
_atom_site_fract_y
_atom_site_fract_z
_atom_site_occupancy
Te1 0.0000 0.0000 0.0000 1
Te2 0.9998 0.4964 0.5052 1
Te3 0.1276 0.6638 0.1716 1
Te4 0.1298 0.1709 0.6717 1
Te5 0.1721 0.6998 0.8006 1
Te6 0.1753 0.2101 0.3017 1
Te7 0.2779 0.3638 0.9679 1
Te8 0.2849 0.8613 0.4784 1
Te9 0.5049 0.4740 0.6207 1
Te10 0.5113 0.9751 0.1215 1
Te11 0.5980 0.1249 0.7930 1
Te12 0.6079 0.6245 0.2870 1
Te13 0.6570 0.6663 0.9245 1
Te14 0.6614 0.1677 0.4254 1
Te15 0.7758 0.3417 0.1072 1
Te16 0.7875 0.8420 0.6073 1
Mo1 0.1430 0.9377 0.2386 1
Mo2 0.6428 0.3940 0.8638 1
Mo3 0.6540 0.8962 0.3623 1
Mo4 0.8031 0.3133 0.6525 1
Mo5 0.8071 0.8152 0.1471 1
Mo6 0.9397 0.2498 0.8793 1
Mo7 0.9457 0.7480 0.3813 1
Mo8 0.9779 0.5177 0.9497 1
Mo9 0.9857 0.0228 0.4491 1
Ru1 0.1494 0.4393 0.7324 1
Ru2 0.8394 0.5866 0.7170 1
Ru3 0.8425 0.0904 0.2158 1
```

***

[8]
This record from the Materials Project describes an optimized crystal structure of VPO5. The functional is r2SCAN.

Output
- Relative energy among the computed polymorphs: 2 meV per atom
- Formation energy: -2.43 eV per atom
- M_tot: 0.0 μB per cell
- Energy: -279.718 eV/cell

The structure in CIF format:
```
data_VPO5
_cell_length_a 7.2330
_cell_length_b 6.9390
_cell_length_c 7.2322
_cell_angle_alpha 90.00
_cell_angle_beta 116.93
_cell_angle_gamma 90.00
_space_group_name_H-M_alt 'C 1 c 1'
_space_group_IT_number 9
loop_
_space_group_symop_operation_xyz
'x,y,z'
'x,-y,z+1/2'
'x+1/2,y+1/2,z'
'x+1/2,-y+1/2,z+1/2'
loop_
_atom_site_label
_atom_site_fract_x
_atom_site_fract_y
_atom_site_fract_z
_atom_site_occupancy
V1 0.0000 0.2326 0.0000 1
P1 0.2896 0.1270 0.7886 1
O1 0.1239 0.0057 0.6169 1
O2 0.1912 0.2559 0.8905 1
O3 0.3000 0.3411 0.2995 1
O4 0.3989 0.2573 0.7004 1
O5 0.4506 0.0039 0.4574 1
```

***

[9]
This record from the Materials Project describes an optimized crystal structure of CoF3. The functional is r2SCAN.

Output
- Formation energy: -2.03 eV per atom
- M_tot: 7.9 μB per cell
- Energy: -61.470 eV/cell

The structure in CIF format:
```
data_CoF3
_cell_length_a 3.8330
_cell_length_b 5.3753
_cell_length_c 5.3766
_cell_angle_alpha 89.99
_cell_angle_beta 89.41
_cell_angle_gamma 89.63
_space_group_name_H-M_alt 'P -1'
_space_group_IT_number 2
loop_
_space_group_symop_operation_xyz
'x,y,z'
'-x,-y,-z'
loop_
_atom_site_label
_atom_site_fract_x
_atom_site_fract_y
_atom_site_fract_z
_atom_site_occupancy
Co1 0.0000 0.0000 0.0000 1
Co2 0.0000 0.5000 0.5000 1
F1 0.0009 0.2590 0.7409 1
F2 0.0050 0.2412 0.2411 1
F3 0.5000 0.0000 0.0000 1
F4 0.5000 0.5000 0.5000 1
```

***

[10]
This record from the Materials Project describes an optimized crystal structure of CeBiAu2. The functional is r2SCAN.

Output
- Formation energy: -0.66 eV per atom
- M_tot: 3.9 μB per cell
- Energy: -772.605 eV/cell

The structure in CIF format:
```
data_CeBiAu2
_cell_length_a 7.2951
_cell_length_b 7.2951
_cell_length_c 7.2951
_cell_angle_alpha 90.00
_cell_angle_beta 90.00
_cell_angle_gamma 90.00
_space_group_name_H-M_alt 'F m -3 m'
_space_group_IT_number 225
_space_group_name_Hall '-F 4 2 3'
loop_
_atom_site_label
_atom_site_fract_x
_atom_site_fract_y
_atom_site_fract_z
_atom_site_occupancy
Ce1 0.0000 0.0000 0.0000 1
Bi1 0.0000 0.0000 0.5000 1
Au1 0.2500 0.2500 0.2500 1
```

***

[11]
This record from the Materials Project describes an optimized crystal structure of Tc3Os. The functional is r2SCAN.

Output
- Relative energy among the computed polymorphs: 16 meV per atom
- Formation energy: -0.05 eV per atom
- M_tot: 0.0 μB per cell
- Energy: -131.088 eV/cell

The structure in CIF format:
```
data_Tc3Os
_cell_length_a 2.7431
_cell_length_b 2.7431
_cell_length_c 8.7192
_cell_angle_alpha 90.00
_cell_angle_beta 90.00
_cell_angle_gamma 120.00
_space_group_name_H-M_alt 'P -6 m 2'
_space_group_IT_number 187
_space_group_name_Hall 'P -6 2'
loop_
_atom_site_label
_atom_site_fract_x
_atom_site_fract_y
_atom_site_fract_z
_atom_site_occupancy
Tc1 0.0000 0.0000 0.0000 1
Tc2 0.6667 0.3333 0.2508 1
Os1 0.0000 0.0000 0.5000 1
```

***

[12]
This record from the Materials Project describes an optimized crystal structure of Dy4C5. The functional is r2SCAN.

Output
- Formation energy: -0.49 eV per atom
- M_tot: 0.0 μB per cell
- Energy: -364.178 eV/cell

The structure in CIF format:
```
data_Dy4C5
_cell_length_a 6.5659
_cell_length_b 11.9377
_cell_length_c 3.6518
_cell_angle_alpha 90.00
_cell_angle_beta 90.00
_cell_angle_gamma 90.00
_space_group_name_H-M_alt 'P b a m'
_space_group_IT_number 55
loop_
_space_group_symop_operation_xyz
'x,y,z'
'-x,-y,-z'
'-x,-y,z'
'x,y,-z'
'x+1/2,-y+1/2,-z'
'-x+1/2,y+1/2,z'
'-x+1/2,y+1/2,-z'
'x+1/2,-y+1/2,z'
loop_
_atom_site_label
_atom_site_fract_x
_atom_site_fract_y
_atom_site_fract_z
_atom_site_occupancy
Dy1 0.1077 0.1957 0.0000 1
Dy2 0.2436 0.9576 0.5000 1
C1 0.0000 0.0000 0.0000 1
C2 0.0977 0.6562 0.5000 1
C3 0.1378 0.7652 0.5000 1
```